# Li6V3P8O29, optimized geometry, DFT PBE+U
data_Li6V3P8O29
_cell_length_a 9.7902
_cell_length_b 9.8157
_cell_length_c 13.9456
_cell_angle_alpha 89.95
_cell_angle_beta 89.95
_cell_angle_gamma 60.12
_space_group_name_H-M_alt 'P 1'
_space_group_IT_number 1
_space_group_name_Hall 'P 1'
loop_
_atom_site_label
_atom_site_fract_x
_atom_site_fract_y
_atom_site_fract_z
_atom_site_occupancy
Li1 0.0000 0.0000 0.0000 1
Li2 0.0014 0.5565 0.4958 1
Li3 0.1281 0.4063 0.9998 1
Li4 0.1366 0.9851 0.4941 1
Li5 0.2367 0.2237 0.6151 1
Li6 0.5641 0.9904 0.9460 1
Li7 0.5665 0.4180 0.4958 1
Li8 0.5862 0.5466 0.9997 1
Li9 0.6651 0.6551 0.6165 1
Li10 0.6839 0.2306 0.1198 1
Li11 0.8216 0.6288 0.1196 1
Li12 0.8893 0.2908 0.5577 1
V1 0.3349 0.8911 0.3057 1
V2 0.3387 0.3224 0.8055 1
V3 0.4667 0.7601 0.8088 1
V4 0.4696 0.3225 0.3055 1
V5 0.9034 0.8916 0.8027 1
V6 0.9057 0.7596 0.3105 1
P1 0.1330 0.0087 0.7138 1
P2 0.1332 0.4101 0.2152 1
P3 0.2181 0.2347 0.3992 1
P4 0.2187 0.0958 0.8997 1
P5 0.2374 0.6544 0.9279 1
P6 0.2370 0.6560 0.4298 1
P7 0.5675 0.9898 0.6870 1
P8 0.5745 0.9871 0.1868 1
P9 0.5825 0.5546 0.2155 1
P10 0.5915 0.4097 0.7130 1
P11 0.6743 0.6361 0.3997 1
P12 0.6754 0.2304 0.8976 1
P13 0.8146 0.6436 0.9002 1
P14 0.8182 0.1014 0.3977 1
P15 0.9882 0.5504 0.7143 1
P16 0.9938 0.0021 0.2148 1
O1 0.0070 0.8418 0.2339 1
O2 0.0901 0.6456 0.3876 1
O3 0.0896 0.8030 0.8881 1
O4 0.1117 0.3204 0.3062 1
O5 0.1177 0.1197 0.8021 1
O6 0.1254 0.0964 0.6226 1
O7 0.1266 0.3232 0.4881 1
O8 0.1354 0.0775 0.9830 1
O9 0.1484 0.3245 0.1244 1
O10 0.1532 0.4038 0.7143 1
O11 0.1592 0.9837 0.2210 1
O12 0.2244 0.8125 0.3915 1
O13 0.2287 0.6562 0.5373 1
O14 0.2365 0.2434 0.9019 1
O15 0.2387 0.0681 0.3992 1
O16 0.2422 0.5030 0.8825 1
O17 0.2437 0.6437 0.0346 1
O18 0.2848 0.4199 0.2373 1
O19 0.2871 0.8521 0.7252 1
O20 0.3751 0.2306 0.3873 1
O21 0.3882 0.6559 0.8867 1
O22 0.3877 0.9518 0.8839 1
O23 0.3914 0.5124 0.3905 1
O24 0.4104 0.1365 0.7274 1
O25 0.4216 0.6981 0.2345 1
O26 0.4287 0.9900 0.2312 1
O27 0.4351 0.4095 0.7244 1
O28 0.5185 0.7912 0.3867 1
O29 0.5318 0.2057 0.8818 1
O30 0.5590 0.9852 0.5803 1
O31 0.5683 0.5766 0.7199 1
O32 0.5709 0.4031 0.2142 1
O33 0.5749 0.8359 0.7306 1
O34 0.5812 0.1364 0.2214 1
O35 0.5831 0.9773 0.0790 1
O36 0.6464 0.2415 0.3966 1
O37 0.6499 0.6599 0.9044 1
O38 0.6568 0.3237 0.9873 1
O39 0.6622 0.5671 0.1258 1
O40 0.6749 0.5451 0.4881 1
O41 0.6806 0.3322 0.6227 1
O42 0.6963 0.5306 0.3059 1
O43 0.6967 0.3179 0.8065 1
O44 0.7084 0.9992 0.7306 1
O45 0.7252 0.8373 0.2292 1
O46 0.7946 0.8086 0.8821 1
O47 0.8173 0.6607 0.4014 1
O48 0.8196 0.9446 0.3921 1
O49 0.8261 0.0669 0.8997 1
O50 0.8929 0.1222 0.2992 1
O51 0.8978 0.5525 0.6257 1
O52 0.8999 0.5335 0.8085 1
O53 0.9068 0.0747 0.1232 1
O54 0.9093 0.1183 0.4791 1
O55 0.9098 0.5668 0.9889 1
O56 0.9871 0.5752 0.2184 1
O57 0.9908 0.9821 0.7208 1
O58 0.9943 0.7019 0.7291 1
# - Energy of formation: -2657 meV per atom
# - Energy relative to the lowest polymorph listed for this composition: 6 meV per atom